MgIn3: optimized geometry, r2SCAN.

Cell lengths 4.588, 4.588, 4.588 Å; angles 90.00, 90.00, 90.00 degrees
Fractional coordinates of all 4 atoms:
Mg 0.000 0.000 0.000
In 0.000 0.500 0.500
In 0.500 0.000 0.500
In 0.500 0.500 0.000

Computed properties:
**DFT formation energy**: -0.06 eV per atom
**Electronic total energy**: -18.039 eV/atom
**Size of the total moment**: 0.0 μB per formula unit